# 1
The following is a r²SCAN calculation of CaPb3Se4 after structural relaxation, from Materials Project.

It has space group Cmmm (No. 65), with a = 8.6827 Å, b = 12.2620 Å, c = 4.3301 Å, α = 90.00°, β = 90.00° and γ = 90.00°. The distinct sites, in fractional coordinates, are Ca at (0.0000, 0.0000, 0.0000), Pb at (0.0000, 0.5000, 0.0000), Pb at (0.2500, 0.2500, 0.5000), Se at (0.0000, 0.2452, 0.0000) and Se at (0.2408, 0.0000, 0.5000).

Its formation energy is -1.07 eV/atom. For the size of the total moment, the calculation gives 0.00 μB/cell.

=====

# 2
The following is a r²SCAN calculation of H2S after structural relaxation, from Materials Project.

It has space group Pbcm (No. 57), with a = 4.1459 Å, b = 13.1232 Å, c = 6.6367 Å, α = 90.00°, β = 90.00° and γ = 90.00°. The distinct sites, in fractional coordinates, are H at (0.1761, 0.2208, 0.2500), H at (0.1943, 0.0709, 0.2500), H at (0.3169, 0.6234, 0.6016), S at (0.0373, 0.6431, 0.2500) and S at (0.4691, 0.1040, 0.7500).

Its formation energy is -0.17 eV/atom. For the size of the total moment, the calculation gives 0.00 μB/cell. As for the energy above the lowest structure with this stoichiometry: 0 kJ/mol of formula units.

=====

# 3
The following is a r²SCAN calculation of ErLuRu2 after structural relaxation, from Materials Project.

It has space group Fm-3m (No. 225), with a = 6.6510 Å, b = 6.6510 Å, c = 6.6510 Å, α = 90.00°, β = 90.00° and γ = 90.00°. The distinct sites, in fractional coordinates, are Er at (0.0000, 0.0000, 0.0000), Lu at (0.0000, 0.0000, 0.5000) and Ru at (0.2500, 0.2500, 0.2500).

Its formation energy is -0.48 eV/atom. For the size of the total moment, the calculation gives 0.00 μB/cell.

=====

# 4
The following is a r²SCAN calculation of La2Ni7 after structural relaxation, from Materials Project.

It has space group P6_3/mmc (No. 194), with a = 4.9830 Å, b = 4.9830 Å, c = 24.4698 Å, α = 90.00°, β = 90.00° and γ = 120.00°. The distinct sites, in fractional coordinates, are La at (0.3333, 0.6667, 0.0308), La at (0.3333, 0.6667, 0.1738), Ni at (0.0000, 0.0000, 0.0000), Ni at (0.0000, 0.0000, 0.1692), Ni at (0.1658, 0.3316, 0.5880), Ni at (0.1670, 0.3340, 0.7500) and Ni at (0.3333, 0.6667, 0.6683).

Its formation energy is -0.26 eV/atom. For the size of the total moment, the calculation gives 5.04 μB/cell.

=====

# 5
The following is a r²SCAN calculation of Al2O3 after structural relaxation, from Materials Project.

It has space group P-31c (No. 163), with a = 4.7931 Å, b = 4.7931 Å, c = 8.9666 Å, α = 90.00°, β = 90.00° and γ = 120.00°. The distinct sites, in fractional coordinates, are Al at (0.0000, 0.0000, 0.0000), Al at (0.3333, 0.6667, 0.0372), Al at (0.3333, 0.6667, 0.7500) and O at (0.0318, 0.3552, 0.8880).

Its formation energy is -3.27 eV/atom. For the size of the total moment, the calculation gives 0.00 μB/cell.

=====

# 6
The following is a r²SCAN calculation of Li6UO6 after structural relaxation, from Materials Project.

It has space group R-3 (No. 148, hexagonal axes), with a = 8.3450 Å, b = 8.3450 Å, c = 7.3205 Å, α = 90.00°, β = 90.00° and γ = 120.00°. The distinct sites, in fractional coordinates, are Li at (0.0028, 0.3566, 0.0003), U at (0.0000, 0.0000, 0.0000) and O at (0.0844, 0.5434, 0.8121).

Its formation energy is -2.63 eV/atom. For the size of the total moment, the calculation gives 0.00 μB/cell.